No. 1
DySiNi4 after structural relaxation, computed with GGA-PBE.

Calculated values
Energy relative to the elements (eV/atom): -0.61

POSCAR file:
```
DySiNi4
1.0
0.000 0.000 -3.934
-2.537 -4.088 0.000
-2.537 4.088 0.000
Dy Si Ni
1 1 4
Direct
0.000 0.000 0.000
0.500 0.500 0.500
0.000 0.343 0.657
0.000 0.657 0.343
0.500 0.000 0.500
0.500 0.500 0.000
```

***

No. 2
Dy4NiSn8 after structural relaxation, computed with GGA-PBE.

Calculated values
Energy relative to the elements (eV/atom): -0.56
Magnetic moment (μB/atom): 0.000

POSCAR file:
```
Dy4NiSn8
1.0
0.000 0.000 4.397
4.412 0.000 0.000
0.000 16.889 0.000
Dy Ni Sn
4 1 8
Direct
0.250 0.000 0.092
0.250 0.500 0.602
0.750 0.500 0.395
0.750 0.000 0.898
0.250 0.000 0.308
0.250 0.000 0.455
0.250 0.500 0.932
0.750 0.500 0.055
0.750 0.000 0.574
0.250 0.500 0.233
0.250 0.000 0.746
0.750 0.000 0.232
0.750 0.500 0.754
```

***

No. 3
Dy2Ni2Sn after structural relaxation, computed with GGA-PBE.

Calculated values
Energy relative to the elements (eV/atom): -0.59

POSCAR file:
```
Dy2Ni2Sn
1.0
-2.139 2.863 4.119
2.139 -2.863 4.119
2.139 2.863 -4.119
Dy Ni Sn
2 2 1
Direct
0.297 0.797 0.500
0.703 0.203 0.500
0.708 0.500 0.208
0.292 0.500 0.792
0.000 0.000 0.000
```

***

No. 4
Dy2Ni2Sn after structural relaxation, computed with GGA-PBE.

Calculated values
Energy relative to the elements (eV/atom): -0.59

POSCAR file:
```
Dy2Ni2Sn
1.0
7.284 0.000 0.000
0.000 7.284 0.000
0.000 0.000 3.717
Dy Ni Sn
4 4 2
Direct
0.676 0.176 0.500
0.324 0.824 0.500
0.176 0.324 0.500
0.824 0.676 0.500
0.879 0.379 0.000
0.121 0.621 0.000
0.379 0.121 0.000
0.621 0.879 0.000
0.500 0.500 0.000
0.000 0.000 0.000
```

***

No. 5
Dy6Ni2Sn after structural relaxation, computed with GGA-PBE.

Calculated values
Energy relative to the elements (eV/atom): -0.40
Magnetic moment (μB/atom): 0.000

POSCAR file:
```
Dy6Ni2Sn
1.0
-4.649 4.833 5.085
4.649 -4.833 5.085
4.649 4.833 -5.085
Dy Ni Sn
12 4 2
Direct
0.028 0.732 0.296
0.972 0.268 0.704
0.564 0.268 0.296
0.436 0.732 0.704
0.677 0.867 0.191
0.323 0.514 0.191
0.323 0.133 0.809
0.677 0.486 0.809
0.184 0.208 0.392
0.816 0.208 0.024
0.184 0.792 0.976
0.816 0.792 0.608
0.646 0.500 0.146
0.354 0.500 0.854
0.878 0.878 0.000
0.122 0.122 0.000
0.000 0.500 0.500
0.500 0.000 0.500
```

***

No. 6
DyNiSn2 after structural relaxation, computed with GGA-PBE.

Calculated values
Energy relative to the elements (eV/atom): -0.58
Magnetic moment (μB/atom): 0.000

POSCAR file:
```
DyNiSn2
1.0
4.441 0.000 0.000
0.000 14.647 0.000
0.000 0.000 16.156
Dy Ni Sn
12 12 24
Direct
0.750 0.473 0.151
0.250 0.527 0.849
0.750 0.771 0.625
0.750 0.894 0.854
0.750 0.729 0.125
0.750 0.606 0.354
0.250 0.229 0.375
0.250 0.106 0.146
0.750 0.027 0.651
0.250 0.394 0.646
0.250 0.271 0.875
0.250 0.973 0.349
0.250 0.753 0.804
0.750 0.957 0.201
0.750 0.253 0.696
0.750 0.394 0.949
0.750 0.247 0.196
0.250 0.043 0.799
0.750 0.543 0.701
0.250 0.457 0.299
0.250 0.894 0.551
0.250 0.606 0.051
0.250 0.747 0.304
0.750 0.106 0.449
0.250 0.325 0.185
0.250 0.450 0.456
0.250 0.422 0.021
0.250 0.078 0.521
0.750 0.578 0.979
0.750 0.106 0.287
0.250 0.739 0.467
0.750 0.372 0.326
0.750 0.261 0.533
0.250 0.606 0.213
0.750 0.950 0.044
0.750 0.239 0.033
0.250 0.050 0.956
0.750 0.394 0.787
0.750 0.128 0.826
0.750 0.825 0.315
0.250 0.761 0.967
0.250 0.872 0.174
0.250 0.894 0.713
0.750 0.675 0.815
0.250 0.628 0.674
0.250 0.175 0.685
0.750 0.922 0.479
0.750 0.550 0.544
```

***

No. 7
Dy2Ni7Sn3 after structural relaxation, computed with GGA-PBE.

Calculated values
Energy relative to the elements (eV/atom): -0.43
Magnetic moment (μB/atom): 0.000

POSCAR file:
```
Dy2Ni7Sn3
1.0
4.298 -11.869 0.000
4.298 11.869 0.000
0.000 0.000 7.558
Dy Ni Sn
8 28 12
Direct
0.707 0.707 0.500
0.194 0.806 0.427
0.793 0.793 0.000
0.806 0.194 0.573
0.207 0.207 0.000
0.293 0.293 0.500
0.306 0.694 0.927
0.694 0.306 0.073
0.165 0.835 0.810
0.123 0.356 0.408
0.856 0.623 0.908
0.451 0.846 0.578
0.549 0.154 0.422
0.951 0.346 0.922
0.877 0.644 0.592
0.654 0.049 0.922
0.154 0.549 0.578
0.601 0.399 0.445
0.101 0.899 0.055
0.644 0.877 0.408
0.665 0.335 0.690
0.346 0.951 0.078
0.623 0.856 0.092
0.049 0.654 0.078
0.144 0.377 0.092
0.954 0.046 0.647
0.899 0.101 0.945
0.835 0.165 0.190
0.377 0.144 0.908
0.846 0.451 0.422
0.399 0.601 0.555
0.046 0.954 0.353
0.546 0.454 0.147
0.454 0.546 0.853
0.356 0.123 0.592
0.335 0.665 0.310
0.032 0.468 0.250
0.468 0.032 0.750
0.438 0.562 0.205
0.356 0.144 0.250
0.144 0.356 0.750
0.062 0.938 0.705
0.644 0.856 0.750
0.532 0.968 0.250
0.562 0.438 0.795
0.938 0.062 0.295
0.968 0.532 0.750
0.856 0.644 0.250
```

***

No. 8
DyO2 after structural relaxation, computed with GGA-PBE.

Calculated values
Energy relative to the elements (eV/atom): -3.17
Magnetic moment (μB/atom): 0.333

POSCAR file:
```
DyO2
1.0
-2.563 1.252 -2.284
-1.853 -3.758 0.020
-4.112 0.023 4.627
Dy O
2 4
Direct
0.250 0.171 0.187
0.750 0.829 0.813
0.250 0.817 0.552
0.750 0.183 0.448
0.250 0.735 0.044
0.750 0.265 0.956
```

***

No. 9
Dy2O3 after structural relaxation, computed with GGA-PBE.

Calculated values
Energy relative to the elements (eV/atom): -3.76
Magnetic moment (μB/atom): 0.000

POSCAR file:
```
Dy2O3
1.0
-0.901 -3.188 1.838
3.548 -1.253 -0.433
1.427 2.374 4.817
Dy O
2 3
Direct
0.500 0.000 0.789
0.000 0.500 0.211
0.000 0.000 0.000
0.500 0.500 0.000
0.000 0.000 0.500
```

***

No. 10
Dy2O3 after structural relaxation, computed with GGA-PBE.

Calculated values
Energy relative to the elements (eV/atom): -3.95

POSCAR file:
```
Dy2O3
1.0
1.840 -3.187 0.000
1.840 3.187 0.000
0.000 0.000 5.880
Dy O
2 3
Direct
0.667 0.333 0.750
0.333 0.667 0.250
0.667 0.333 0.355
0.333 0.667 0.645
0.000 0.000 0.000
```

***

No. 11
Dy2O3 after structural relaxation, computed with GGA-PBE.

Calculated values
Energy relative to the elements (eV/atom): -3.97

POSCAR file:
```
Dy2O3
1.0
5.331 -1.246 -4.758
6.089 1.916 -3.444
5.893 -3.589 5.240
Dy O
6 9
Direct
0.365 0.365 0.488
0.308 0.308 0.138
0.968 0.968 0.814
0.635 0.635 0.512
0.692 0.692 0.862
0.032 0.032 0.186
0.128 0.128 0.718
0.206 0.206 0.377
0.872 0.872 0.282
0.794 0.794 0.623
0.500 0.500 0.000
0.529 0.529 0.343
0.471 0.471 0.657
0.825 0.825 0.970
0.175 0.175 0.030
```

***

No. 12
Dy2O3 after structural relaxation, computed with GGA-PBE.

Calculated values
Energy relative to the elements (eV/atom): -4.01

POSCAR file:
```
Dy2O3
1.0
-3.975 1.758 8.161
-5.298 3.353 -6.795
0.955 -9.135 -1.059
Dy O
16 24
Direct
0.718 0.750 0.468
0.250 0.032 0.782
0.468 0.718 0.750
0.750 0.468 0.718
0.032 0.782 0.250
0.782 0.250 0.032
0.282 0.250 0.532
0.750 0.968 0.218
0.532 0.282 0.250
0.250 0.532 0.282
0.968 0.218 0.750
0.218 0.750 0.968
0.500 0.500 0.000
0.000 0.000 0.000
0.000 0.500 0.500
0.500 0.000 0.500
0.229 0.272 0.760
0.012 0.469 0.740
0.271 0.031 0.042
0.740 0.012 0.469
0.272 0.760 0.229
0.228 0.458 0.488
0.458 0.488 0.228
0.469 0.740 0.012
0.042 0.271 0.031
0.031 0.042 0.271
0.760 0.229 0.272
0.488 0.228 0.458
0.771 0.728 0.240
0.988 0.531 0.260
0.729 0.969 0.958
0.260 0.988 0.531
0.512 0.772 0.542
0.240 0.771 0.728
0.969 0.958 0.729
0.958 0.729 0.969
0.531 0.260 0.988
0.542 0.512 0.772
0.772 0.542 0.512
0.728 0.240 0.771
```

***

No. 13
DyP5O14 after structural relaxation, computed with GGA-PBE.

Calculated values
Energy relative to the elements (eV/atom): -2.82
Magnetic moment (μB/atom): 0.000
ΔE to the lowest computed polymorph (meV/atom): 9

POSCAR file:
```
DyP5O14
1.0
8.821 0.000 0.000
0.000 9.044 0.000
0.000 0.000 12.895
Dy P O
4 20 56
Direct
0.021 0.061 0.250
0.479 0.561 0.750
0.521 0.439 0.250
0.979 0.939 0.750
0.005 0.299 0.583
0.005 0.299 0.917
0.068 0.512 0.750
0.254 0.275 0.067
0.254 0.275 0.433
0.246 0.775 0.567
0.246 0.775 0.933
0.432 0.012 0.250
0.495 0.799 0.417
0.495 0.799 0.083
0.505 0.201 0.917
0.505 0.201 0.583
0.568 0.988 0.750
0.754 0.225 0.067
0.754 0.225 0.433
0.746 0.725 0.567
0.746 0.725 0.933
0.932 0.488 0.250
0.995 0.701 0.083
0.995 0.701 0.417
0.997 0.846 0.137
0.997 0.846 0.363
0.032 0.672 0.750
0.027 0.562 0.154
0.027 0.562 0.346
0.117 0.680 0.504
0.117 0.680 0.996
0.155 0.163 0.117
0.155 0.163 0.383
0.161 0.345 0.531
0.161 0.345 0.969
0.173 0.898 0.625
0.173 0.898 0.875
0.226 0.452 0.750
0.274 0.952 0.250
0.327 0.398 0.125
0.327 0.398 0.375
0.339 0.845 0.031
0.339 0.845 0.469
0.345 0.663 0.617
0.345 0.663 0.883
0.383 0.180 0.004
0.383 0.180 0.496
0.473 0.062 0.654
0.473 0.062 0.846
0.468 0.172 0.250
0.503 0.346 0.637
0.503 0.346 0.863
0.497 0.654 0.137
0.497 0.654 0.363
0.532 0.828 0.750
0.527 0.938 0.154
0.527 0.938 0.346
0.617 0.820 0.504
0.617 0.820 0.996
0.655 0.337 0.117
0.655 0.337 0.383
0.661 0.155 0.531
0.661 0.155 0.969
0.673 0.602 0.625
0.673 0.602 0.875
0.726 0.048 0.750
0.774 0.548 0.250
0.827 0.102 0.125
0.827 0.102 0.375
0.839 0.655 0.031
0.839 0.655 0.469
0.845 0.837 0.883
0.845 0.837 0.617
0.883 0.320 0.004
0.883 0.320 0.496
0.973 0.438 0.654
0.973 0.438 0.846
0.968 0.328 0.250
0.003 0.154 0.637
0.003 0.154 0.863
```

***

No. 14
DyP2O2 after structural relaxation, computed with GGA-PBE.

Calculated values
Energy relative to the elements (eV/atom): -1.61
Magnetic moment (μB/atom): 0.000
ΔE to the lowest computed polymorph (meV/atom): 0

POSCAR file:
```
DyP2O2
1.0
-4.717 -7.474 0.934
-7.517 0.028 -4.740
8.506 1.740 -1.897
Dy P O
4 8 8
Direct
0.875 0.125 0.250
0.875 0.625 0.750
0.375 0.125 0.250
0.875 0.125 0.750
0.623 0.463 0.840
0.623 0.783 0.160
0.533 0.873 0.660
0.127 0.467 0.340
0.127 0.787 0.660
0.213 0.873 0.340
0.217 0.377 0.840
0.537 0.377 0.160
0.727 0.514 0.787
0.727 0.940 0.213
0.690 0.977 0.713
0.023 0.310 0.287
0.023 0.736 0.713
0.264 0.977 0.287
0.060 0.273 0.787
0.486 0.273 0.213
```